NaMgNbP2SO12: relaxed, PBE.

a = 8.7476 Å, b = 8.7476 Å, c = 22.8122 Å
α = 90.33°, β = 89.67°, γ = 120.10°
Sites, in units of the cell vectors:
O1 0.8202 0.0210 0.8055
O2 0.1345 0.4870 0.5756
O3 0.8110 0.9870 0.4100
O4 0.1560 0.4614 0.9716
O5 0.3035 0.4752 0.7579
O6 0.8301 0.0301 0.0886
O7 0.1350 0.4963 0.8623
O8 0.8583 0.4971 0.4248
O9 0.4893 0.1280 0.6382
O10 0.8012 0.8203 0.9089
O11 0.4670 0.3039 0.0286
O12 0.8763 0.3599 0.6368
O13 0.0302 0.8221 0.6970
O14 0.3067 0.4570 0.4701
O15 0.9699 0.1699 0.5886
O16 0.1917 0.1637 0.0915
O17 0.5037 0.8650 0.3623
O18 0.3565 0.4967 0.0758
O19 0.2053 0.1773 0.8049
O20 0.3627 0.8663 0.8619
O21 0.8581 0.3631 0.9246
O22 0.9790 0.1798 0.3055
O23 0.5250 0.8304 0.7581
O24 0.8463 0.5321 0.7423
O25 0.5033 0.6435 0.5758
O26 0.3123 0.8465 0.9722
O27 0.8720 0.5107 0.1382
O28 0.4777 0.3203 0.7433
O29 0.0232 0.8300 0.4091
O30 0.8227 0.7947 0.3049
O31 0.8003 0.9706 0.6952
O32 0.8370 0.5317 0.0289
O33 0.0294 0.1997 0.1952
O34 0.2096 0.0266 0.3034
O35 0.1444 0.6537 0.0767
O36 0.8446 0.3032 0.5303
O37 0.9702 0.8085 0.0913
O38 0.5112 0.6365 0.8636
O39 0.5248 0.6965 0.2579
O40 0.5130 0.8655 0.0756
O41 0.1535 0.6877 0.4722
O42 0.3635 0.4888 0.3636
O43 0.4868 0.3543 0.1389
O44 0.4679 0.1537 0.2423
O45 0.4967 0.3635 0.4220
O46 0.0130 0.1890 0.9100
O47 0.6369 0.1419 0.4246
O48 0.6968 0.1554 0.0303
O49 0.1915 0.0298 0.5913
O50 0.1634 0.6968 0.7553
O51 0.8363 0.8083 0.5915
O52 0.5430 0.6933 0.9701
O53 0.6797 0.5223 0.2433
O54 0.6365 0.5033 0.9220
O55 0.6961 0.5330 0.5286
O56 0.3463 0.8556 0.5767
O57 0.1337 0.6373 0.3619
O58 0.6457 0.5132 0.6389
O59 0.8366 0.3101 0.2424
O60 0.5029 0.1417 0.9248
O61 0.6401 0.1237 0.1368
O62 0.5386 0.8440 0.4716
O63 0.1779 0.9698 0.1970
O64 0.9734 0.7904 0.8034
O65 0.8016 0.8296 0.1956
O66 0.3032 0.8366 0.2553
O67 0.1700 0.9768 0.9091
O68 0.1797 0.1988 0.4089
O69 0.1696 0.4750 0.2581
O70 0.1704 0.1984 0.6956
O71 0.6899 0.1634 0.7424
O72 0.4683 0.1630 0.5289
P1 0.3812 0.3406 0.0861
P2 0.9603 0.6207 0.0857
P3 0.2936 0.2874 0.7524
P4 0.6594 0.6188 0.5861
P5 0.3793 0.0397 0.5857
P6 0.0479 0.6740 0.4194
P7 0.7126 0.7064 0.2524
P8 0.6269 0.9540 0.4190
P9 0.3260 0.9521 0.9194
P10 0.7145 0.0073 0.7528
P11 0.0460 0.3731 0.9190
P12 0.9927 0.2855 0.2528
Na1 0.6761 0.3392 0.3276
Na2 0.3275 0.6573 0.1610
Na3 0.3427 0.6725 0.6610
Na4 0.9942 0.9906 0.4943
Na5 0.6608 0.3239 0.8276
Na6 0.0094 0.0058 0.9943
Mg1 0.9891 0.9941 0.3528
Mg2 0.3224 0.6607 0.0194
Mg3 0.6726 0.3443 0.1861
Mg4 0.0059 0.0109 0.8528
Mg5 0.3393 0.6776 0.5194
Mg6 0.6557 0.3274 0.6861
S1 0.3279 0.3761 0.4177
S2 0.6239 0.6721 0.9177
S3 0.9946 0.7094 0.7510
S4 0.6613 0.0427 0.0843
S5 0.2906 0.0054 0.2510
S6 0.9573 0.3387 0.5843
Nb1 0.3320 0.6700 0.3124
Nb2 0.3300 0.6680 0.8124
Nb3 0.6653 0.3367 0.9791
Nb4 0.9966 0.0014 0.1457
Nb5 0.6633 0.3347 0.4791
Nb6 0.9986 0.0034 0.6457

Raw total energy   -7.046 eV/atom
MP2020-corrected energy   -810.451 eV/cell
Energy relative to the elements   -2651 meV per atom